(1)
DFT (PBE with a Hubbard U) results for crystalline Ca2WO5 at its relaxed geometry.

a = 7.3145 Å, b = 5.4665 Å, c = 10.7210 Å
α = 90.00°, β = 90.00°, γ = 90.00°
Positions (direct):
Ca 0.0105 0.2500 0.2418
Ca 0.1494 0.2500 0.5797
Ca 0.3506 0.7500 0.0797
Ca 0.4895 0.7500 0.7418
Ca 0.5105 0.2500 0.2582
Ca 0.6494 0.2500 0.9203
Ca 0.8506 0.7500 0.4203
Ca 0.9895 0.7500 0.7582
W 0.1854 0.2500 0.9415
W 0.3146 0.7500 0.4415
W 0.6854 0.2500 0.5585
W 0.8146 0.7500 0.0585
O 0.0000 0.0000 0.0000
O 0.0000 0.5000 0.0000
O 0.0683 0.2500 0.7850
O 0.1457 0.5008 0.4023
O 0.1457 0.9992 0.4023
O 0.2312 0.7500 0.6206
O 0.2688 0.2500 0.1206
O 0.3543 0.0008 0.9023
O 0.3543 0.4992 0.9023
O 0.4317 0.7500 0.2850
O 0.5000 0.0000 0.5000
O 0.5000 0.5000 0.5000
O 0.5683 0.2500 0.7150
O 0.6457 0.5008 0.0977
O 0.6457 0.9992 0.0977
O 0.7312 0.7500 0.8794
O 0.7688 0.2500 0.3794
O 0.8543 0.0008 0.5977
O 0.8543 0.4992 0.5977
O 0.9317 0.7500 0.2150

## Properties
* total energy: -7.118 eV/atom
* total energy after the MP2020 corrections: -8.102 eV/atom
* offset from the most stable computed form: 40 meV/atom
* total moment: 0.000 μB/atom
* ρ: 5.33 g/cm3
* energy of formation: -2.889 eV per atom
* space group: Pnma

(2)
DFT (PBE with a Hubbard U) results for crystalline CaW4O8 at its relaxed geometry.

a = 6.6664 Å, b = 6.6664 Å, c = 6.6664 Å
α = 58.92°, β = 58.92°, γ = 58.92°
Positions (direct):
Ca 0.0000 0.0000 0.0000
W 0.0000 0.0000 0.5000
W 0.0000 0.5000 0.0000
W 0.5000 0.0000 0.0000
W 0.5000 0.5000 0.5000
O 0.2185 0.7379 0.7379
O 0.2214 0.2214 0.2214
O 0.2621 0.2621 0.7815
O 0.2621 0.7815 0.2621
O 0.7379 0.2185 0.7379
O 0.7379 0.7379 0.2185
O 0.7786 0.7786 0.7786
O 0.7815 0.2621 0.2621

## Properties
* total energy: -7.267 eV/atom
* total energy after the MP2020 corrections: -9.055 eV/atom
* offset from the most stable computed form: 13 meV/atom
* total moment: 0.769 μB/atom
* ρ: 7.34 g/cm3
* energy of formation: -1.869 eV per atom
* space group: R-3m

(3)
DFT (PBE with a Hubbard U) results for crystalline CaW4O8 at its relaxed geometry.

a = 3.3448 Å, b = 7.2845 Å, c = 7.3300 Å
α = 88.29°, β = 78.96°, γ = 78.27°
Positions (direct):
Ca 0.0000 0.0000 0.0000
W 0.1321 0.5410 0.1666
W 0.3423 0.8376 0.5208
W 0.6475 0.1903 0.4624
W 0.8617 0.4866 0.8135
O 0.0342 0.3019 0.6017
O 0.2806 0.0498 0.3093
O 0.3565 0.6234 0.7052
O 0.3575 0.3352 0.9368
O 0.6279 0.7024 0.0283
O 0.6506 0.3958 0.2642
O 0.7028 0.9658 0.6750
O 0.9578 0.7271 0.3894

## Properties
* total energy: -7.280 eV/atom
* total energy after the MP2020 corrections: -9.068 eV/atom
* offset from the most stable computed form: 0 meV/atom
* total moment: 0.769 μB/atom
* ρ: 8.74 g/cm3
* energy of formation: -1.882 eV per atom
* space group: P1

(4)
DFT (PBE with a Hubbard U) results for crystalline CaWO3 at its relaxed geometry.

a = 4.0995 Å, b = 4.0995 Å, c = 4.1287 Å
α = 91.10°, β = 91.10°, γ = 86.75°
Positions (direct):
Ca 0.0000 0.0000 0.0000
W 0.4223 0.4223 0.4921
O 0.3879 0.9186 0.4814
O 0.3978 0.3978 0.9891
O 0.9186 0.3879 0.4814

## Properties
* total energy: -7.106 eV/atom
* total energy after the MP2020 corrections: -8.406 eV/atom
* total moment: 0.400 μB/atom
* ρ: 6.52 g/cm3
* energy of formation: -2.445 eV per atom
* space group: Cm

(5)
DFT (PBE with a Hubbard U) results for crystalline CdNi2H24Cl6O12 at its relaxed geometry.

a = 9.9855 Å, b = 9.9855 Å, c = 11.4073 Å
α = 90.00°, β = 90.00°, γ = 120.00°
Positions (direct):
Cd 0.0000 0.0000 0.0000
Cd 0.3333 0.6667 0.5291
Ni 0.0000 0.0000 0.5101
Ni 0.3333 0.6667 0.0278
Ni 0.6667 0.3333 0.1145
Ni 0.6667 0.3333 0.6098
H 0.0464 0.1766 0.3234
H 0.0577 0.8117 0.6293
H 0.0833 0.6487 0.9260
H 0.1302 0.9536 0.3234
H 0.1314 0.8489 0.4212
H 0.1329 0.5566 0.2115
H 0.1445 0.4227 0.1433
H 0.1511 0.2825 0.4212
H 0.1883 0.2459 0.6293
H 0.1980 0.1115 0.6915
H 0.2264 0.7566 0.8438
H 0.2434 0.4698 0.8438
H 0.2781 0.8555 0.1433
H 0.3513 0.4346 0.9260
H 0.3750 0.2420 0.1887
H 0.3777 0.1751 0.5309
H 0.4237 0.8671 0.2115
H 0.4434 0.5763 0.2115
H 0.4543 0.3148 0.7652
H 0.4589 0.1400 0.9644
H 0.4734 0.1051 0.4725
H 0.4847 0.0433 0.0621
H 0.4880 0.3220 0.2924
H 0.5199 0.0445 0.7001
H 0.5246 0.4801 0.7001
H 0.5302 0.7736 0.8438
H 0.5586 0.5153 0.0621
H 0.5654 0.9167 0.9260
H 0.5773 0.7219 0.1433
H 0.6317 0.5266 0.4725
H 0.6780 0.1660 0.2924
H 0.6811 0.5411 0.9644
H 0.6852 0.1395 0.7652
H 0.7175 0.8686 0.4212
H 0.7541 0.9423 0.6293
H 0.7580 0.1330 0.1887
H 0.7974 0.6223 0.5309
H 0.8234 0.8698 0.3234
H 0.8249 0.2026 0.5309
H 0.8340 0.5120 0.2924
H 0.8600 0.3189 0.9644
H 0.8605 0.5457 0.7652
H 0.8670 0.6250 0.1887
H 0.8885 0.0865 0.6915
H 0.8949 0.3683 0.4725
H 0.9135 0.8020 0.6915
H 0.9555 0.4754 0.7001
H 0.9567 0.4414 0.0621
Cl 0.0719 0.8424 0.1534
Cl 0.0886 0.6002 0.3965
Cl 0.1532 0.4332 0.6699
Cl 0.1576 0.2295 0.1534
Cl 0.2583 0.1227 0.8724
Cl 0.2800 0.8468 0.6699
Cl 0.3998 0.4883 0.3965
Cl 0.5117 0.9114 0.3965
Cl 0.5668 0.7200 0.6699
Cl 0.7705 0.9281 0.1534
Cl 0.8644 0.7417 0.8724
Cl 0.8773 0.1356 0.8724
O 0.0475 0.1912 0.4091
O 0.1407 0.5210 0.1322
O 0.1437 0.9525 0.4091
O 0.1907 0.1490 0.6126
O 0.1955 0.7137 0.9243
O 0.2863 0.4818 0.9243
O 0.3803 0.8593 0.1322
O 0.4736 0.2595 0.2219
O 0.4790 0.6197 0.1322
O 0.4810 0.2015 0.5015
O 0.5182 0.8045 0.9243
O 0.5400 0.1361 0.0127
O 0.5413 0.3934 0.7188
O 0.5962 0.4600 0.0127
O 0.6066 0.1479 0.7188
O 0.7205 0.5190 0.5015
O 0.7405 0.2141 0.2219
O 0.7859 0.5264 0.2219
O 0.7985 0.2795 0.5015
O 0.8088 0.8563 0.4091
O 0.8510 0.0417 0.6126
O 0.8521 0.4587 0.7188
O 0.8639 0.4038 0.0127
O 0.9583 0.8093 0.6126

## Properties
* total energy: -4.533 eV/atom
* total energy after the MP2020 corrections: -4.829 eV/atom
* total moment: 0.089 μB/atom
* ρ: 2.22 g/cm3
* energy of formation: -1.177 eV per atom
* space group: P3

(6)
DFT (PBE with a Hubbard U) results for crystalline K4V5CdClO15 at its relaxed geometry.

a = 9.2526 Å, b = 9.2526 Å, c = 5.5113 Å
α = 90.00°, β = 90.00°, γ = 90.00°
Positions (direct):
K 0.1667 0.6759 0.0000
K 0.3241 0.1667 0.0000
K 0.6759 0.8333 0.0000
K 0.8333 0.3241 0.0000
V 0.1441 0.3840 0.4743
V 0.3840 0.8559 0.4743
V 0.5000 0.5000 0.4431
V 0.6160 0.1441 0.4743
V 0.8559 0.6160 0.4743
Cd 0.0000 0.0000 0.4246
Cl 0.0000 0.0000 0.8991
O 0.0000 0.5000 0.3558
O 0.1206 0.2118 0.3723
O 0.1457 0.3890 0.7772
O 0.2118 0.8794 0.3723
O 0.3085 0.4529 0.3510
O 0.3890 0.8543 0.7772
O 0.4529 0.6915 0.3510
O 0.5000 0.0000 0.3558
O 0.5000 0.5000 0.7375
O 0.5471 0.3085 0.3510
O 0.6110 0.1457 0.7772
O 0.6915 0.5471 0.3510
O 0.7882 0.1206 0.3723
O 0.8543 0.6110 0.7772
O 0.8794 0.7882 0.3723

## Properties
* total energy: -6.470 eV/atom
* total energy after the MP2020 corrections: -7.194 eV/atom
* largest piezoelectric modulus: 0.95 C/m²
* total moment: 0.000 μB/atom
* ρ: 2.81 g/cm3
* energy of formation: -2.315 eV per atom
* space group: P4